Entry 1:
GGA-PBE K2PrZrP3O12, optimized geometry; formation energy from the elements = -3144 meV per atom; SG = P2_13, No. 198
1.0
10.633 0.000 0.000
0.000 10.633 0.000
0.000 0.000 10.633
K Pr Zr P O
8 4 4 12 48
direct
0.071 0.071 0.071 K
0.929 0.571 0.429 K
0.429 0.929 0.571 K
0.203 0.703 0.797 K
0.797 0.203 0.703 K
0.571 0.429 0.929 K
0.703 0.797 0.203 K
0.297 0.297 0.297 K
0.924 0.424 0.076 Pr
0.076 0.924 0.424 Pr
0.424 0.076 0.924 Pr
0.576 0.576 0.576 Pr
0.853 0.853 0.853 Zr
0.147 0.353 0.647 Zr
0.353 0.647 0.147 Zr
0.647 0.147 0.353 Zr
0.542 0.751 0.881 P
0.751 0.881 0.542 P
0.381 0.958 0.249 P
0.958 0.249 0.381 P
0.251 0.619 0.458 P
0.119 0.042 0.749 P
0.458 0.251 0.619 P
0.749 0.119 0.042 P
0.249 0.381 0.958 P
0.042 0.749 0.119 P
0.881 0.542 0.751 P
0.619 0.458 0.251 P
0.124 0.338 0.018 O
0.838 0.482 0.876 O
0.851 0.220 0.025 O
0.586 0.316 0.268 O
0.268 0.586 0.316 O
0.003 0.474 0.706 O
0.280 0.975 0.351 O
0.624 0.162 0.982 O
0.525 0.649 0.780 O
0.162 0.982 0.624 O
0.482 0.876 0.838 O
0.475 0.149 0.720 O
0.414 0.816 0.232 O
0.497 0.526 0.206 O
0.206 0.497 0.526 O
0.997 0.974 0.794 O
0.975 0.351 0.280 O
0.662 0.518 0.376 O
0.780 0.525 0.649 O
0.732 0.086 0.184 O
0.914 0.684 0.768 O
0.518 0.376 0.662 O
0.720 0.475 0.149 O
0.768 0.914 0.684 O
0.474 0.706 0.003 O
0.982 0.624 0.162 O
0.684 0.768 0.914 O
0.018 0.124 0.338 O
0.026 0.294 0.503 O
0.184 0.732 0.086 O
0.503 0.026 0.294 O
0.294 0.503 0.026 O
0.376 0.662 0.518 O
0.974 0.794 0.997 O
0.025 0.851 0.220 O
0.526 0.206 0.497 O
0.794 0.997 0.974 O
0.816 0.232 0.414 O
0.086 0.184 0.732 O
0.649 0.780 0.525 O
0.316 0.268 0.586 O
0.149 0.720 0.475 O
0.706 0.003 0.474 O
0.232 0.414 0.816 O
0.220 0.025 0.851 O
0.876 0.838 0.482 O
0.351 0.280 0.975 O
0.338 0.018 0.124 O

Entry 2:
GGA-PBE MgTe2MoW2Se2S2, optimized geometry; formation energy from the elements = -459 meV per atom; SG = P3m1, No. 156; energy relative to the lowest polymorph listed for this composition = 0.43 eV/f.u.
1.0
-2.973 0.120 -1.541
1.878 -2.769 -0.194
-16.609 -13.443 30.990
Mg Te Mo W Se S
1 2 1 2 2 2
direct
0.000 0.000 0.247 Mg
0.667 0.333 0.528 Te
0.667 0.333 0.629 Te
0.667 0.333 0.353 Mo
0.333 0.667 0.107 W
0.333 0.667 0.579 W
0.667 0.333 0.062 Se
0.667 0.333 0.151 Se
0.333 0.667 0.393 S
0.333 0.667 0.312 S

Entry 3:
GGA-PBE CeB2Ir2, optimized geometry; formation energy from the elements = -718 meV per atom; SG = Fddd, No. 70
1.0
-7.022 0.758 0.764
-3.829 4.260 -2.182
-3.766 -2.793 -3.026
Ce B Ir
2 4 4
direct
0.750 0.750 0.750 Ce
0.500 0.500 0.500 Ce
0.070 0.430 0.070 B
0.820 0.180 0.820 B
0.430 0.070 0.430 B
0.180 0.820 0.180 B
0.380 0.380 0.120 Ir
0.130 0.130 0.870 Ir
0.870 0.870 0.130 Ir
0.120 0.120 0.380 Ir

| no. | mass density (g cm⁻³) |
| --- | --- |
| 1 | 3.29 |
| 2 | 4.38 |
| 3 | 12.00 |